1.
Density functional theory data (GGA+U) for a relaxed Li7Mn2Co3O12 crystal.

Cell lengths 5.094, 2.958, 14.421 Å; angles 90.00, 91.97, 90.00 degrees
Space group Pm (No. 6)
Unique sites:
1 Li 0.000 0.000 0.000
2 Li 0.011 0.000 0.514
3 Li 0.173 0.500 0.173
4 Li 0.320 0.000 0.354
5 Li 0.484 0.500 0.520
6 Li 0.669 0.000 0.679
7 Li 0.831 0.500 0.843
8 Mn 0.661 0.000 0.178
9 Mn 0.840 0.500 0.351
10 Co 0.162 0.500 0.672
11 Co 0.325 0.000 0.845
12 Co 0.494 0.500 0.006
13 O 0.020 0.000 0.759
14 O 0.144 0.500 0.420
15 O 0.165 0.500 0.925
16 O 0.330 0.000 0.600
17 O 0.355 0.000 0.102
18 O 0.458 0.500 0.757
19 O 0.527 0.500 0.256
20 O 0.643 0.000 0.922
21 O 0.686 0.000 0.417
22 O 0.813 0.500 0.108
23 O 0.872 0.500 0.605
24 O 0.965 0.000 0.268

Results
For the mass density, the calculation gives 4.03 g/cm3. The calculation puts the uncorrected energy at -140.40 eV/cell. The calculated formation energy is -179 kJ per mole of atoms. The total magnetization comes out at 16.000 μB per formula unit. The calculation puts the energy above the most stable polymorph in this dataset at 79.1 meV per atom. For the calculated volume, the calculation gives 9.05 A^3/atom.



2.
Density functional theory data (GGA+U) for a relaxed Li7Mn4CoO12 crystal.

Cell lengths 5.215, 6.497, 12.952 Å; angles 82.88, 84.28, 84.20 degrees
Space group P-1 (No. 2)
Unique sites:
1 Li 0.000 0.000 0.250
2 Li 0.245 0.239 0.371
3 Li 0.255 0.238 0.870
4 Li 0.255 0.907 0.542
5 Li 0.256 0.582 0.705
6 Li 0.261 0.581 0.205
7 Li 0.261 0.909 0.041
8 Mn 0.000 0.329 0.085
9 Mn 0.001 0.331 0.585
10 Mn 0.500 0.166 0.667
11 Mn 0.500 0.168 0.166
12 Co 0.500 0.500 0.000
13 Co 0.500 0.500 0.500
14 O 0.113 0.616 0.558
15 O 0.147 0.605 0.053
16 O 0.153 0.283 0.718
17 O 0.154 0.283 0.217
18 O 0.154 0.934 0.392
19 O 0.154 0.936 0.892
20 O 0.392 0.218 0.025
21 O 0.392 0.551 0.858
22 O 0.395 0.219 0.526
23 O 0.395 0.886 0.192
24 O 0.395 0.886 0.693
25 O 0.396 0.552 0.360

Results
For the mass density, the calculation gives 4.00 g/cm3. The calculation puts the uncorrected energy at -299.27 eV/cell. The calculated formation energy is -200 kJ per mole of atoms. The total magnetization comes out at 14.000 μB per formula unit. The calculation puts the energy above the most stable polymorph in this dataset at 13.7 meV per atom. For the calculated volume, the calculation gives 8.99 A^3/atom.



3.
Density functional theory data (GGA+U) for a relaxed Li7Mn2Co3O12 crystal.

Cell lengths 3.022, 7.810, 10.092 Å; angles 111.57, 91.61, 97.71 degrees
Space group P1 (No. 1)
Unique sites:
1 Li 0.000 0.000 0.000
2 Li 0.000 0.003 0.509
3 Li 0.332 0.666 0.344
4 Li 0.338 0.669 0.831
5 Li 0.670 0.333 0.667
6 Li 0.672 0.335 0.173
7 Li 0.836 0.669 0.588
8 Mn 0.507 0.006 0.258
9 Mn 0.827 0.665 0.086
10 Co 0.161 0.328 0.915
11 Co 0.184 0.351 0.428
12 Co 0.495 0.986 0.749
13 O 0.114 0.164 0.723
14 O 0.118 0.176 0.230
15 O 0.211 0.493 0.115
16 O 0.239 0.483 0.610
17 O 0.433 0.855 0.566
18 O 0.449 0.838 0.057
19 O 0.566 0.175 0.454
20 O 0.594 0.160 0.944
21 O 0.734 0.499 0.885
22 O 0.775 0.490 0.384
23 O 0.887 0.833 0.289
24 O 0.906 0.847 0.791

Results
For the mass density, the calculation gives 4.00 g/cm3. The calculation puts the uncorrected energy at -139.83 eV/cell. The calculated formation energy is -177 kJ per mole of atoms. The total magnetization comes out at 18.000 μB per formula unit. The calculation puts the energy above the most stable polymorph in this dataset at 102.8 meV per atom. For the calculated volume, the calculation gives 9.11 A^3/atom.



4.
Density functional theory data (GGA+U) for a relaxed Li4MnCo3O8 crystal.

Cell lengths 2.9365, 2.9365, 58.6348 Å; angles 90.00, 90.00, 120.00 degrees
Space group R-3m (No. 166, hexagonal axes)
Unique sites:
1 Li 0.0000 0.0000 0.1227
2 Li 0.0000 0.0000 0.3753
3 Mn 0.0000 0.0000 0.5000
4 Co 0.0000 0.0000 0.0000
5 Co 0.0000 0.0000 0.2501
6 O 0.0000 0.0000 0.0640
7 O 0.0000 0.0000 0.1852
8 O 0.0000 0.0000 0.3140
9 O 0.0000 0.0000 0.4367

Results
For the mass density, the calculation gives 4.41 g/cm3. The calculation puts the uncorrected energy at -280.61 eV/cell. The calculated formation energy is -168 kJ per mole of atoms. The total magnetization comes out at 4.000 μB per formula unit. The calculation puts the energy above the most stable polymorph in this dataset at 51.8 meV per atom. For the calculated volume, the calculation gives 9.12 A^3/atom.



5.
Density functional theory data (GGA+U) for a relaxed Li7Mn4CoO12 crystal.

Cell lengths 2.966, 7.656, 9.927 Å; angles 101.10, 92.97, 98.44 degrees
Space group P1 (No. 1)
Unique sites:
1 Li 0.000 0.000 0.000
2 Li 0.074 0.160 0.756
3 Li 0.148 0.321 0.513
4 Li 0.327 0.663 0.012
5 Li 0.503 0.005 0.512
6 Li 0.643 0.310 0.998
7 Li 0.825 0.660 0.503
8 Mn 0.243 0.496 0.254
9 Mn 0.405 0.836 0.760
10 Mn 0.571 0.158 0.257
11 Mn 0.743 0.483 0.753
12 Co 0.909 0.827 0.258
13 O 0.159 0.252 0.136
14 O 0.238 0.427 0.865
15 O 0.266 0.576 0.650
16 O 0.329 0.738 0.373
17 O 0.487 0.914 0.144
18 O 0.515 0.057 0.875
19 O 0.633 0.262 0.638
20 O 0.655 0.403 0.373
21 O 0.827 0.590 0.138
22 O 0.883 0.744 0.863
23 O 0.910 0.893 0.648
24 O 0.990 0.065 0.375

Results
For the mass density, the calculation gives 3.95 g/cm3. The calculation puts the uncorrected energy at -148.95 eV/cell. The calculated formation energy is -197 kJ per mole of atoms. The total magnetization comes out at 14.000 μB per formula unit. The calculation puts the energy above the most stable polymorph in this dataset at 42.2 meV per atom. For the calculated volume, the calculation gives 9.09 A^3/atom.



6.
Density functional theory data (GGA+U) for a relaxed Li5Mn2CoO8 crystal.

Cell lengths 4.980, 5.127, 5.852 Å; angles 72.20, 89.26, 80.04 degrees
Space group P1 (No. 1)
Unique sites:
1 Li 0.000 0.000 0.000
2 Li 0.001 0.995 0.506
3 Li 0.514 0.993 0.264
4 Li 0.517 0.005 0.740
5 Li 0.759 0.502 0.625
6 Mn 0.259 0.502 0.870
7 Mn 0.760 0.496 0.127
8 Co 0.266 0.502 0.384
9 O 0.115 0.268 0.168
10 O 0.158 0.281 0.689
11 O 0.367 0.743 0.583
12 O 0.391 0.715 0.073
13 O 0.618 0.279 0.949
14 O 0.621 0.271 0.420
15 O 0.896 0.712 0.304
16 O 0.896 0.728 0.834

Results
For the mass density, the calculation gives 3.93 g/cm3. The calculation puts the uncorrected energy at -96.61 eV/cell. The calculated formation energy is -196 kJ per mole of atoms. The total magnetization comes out at 6.000 μB per formula unit. The calculation puts the energy above the most stable polymorph in this dataset at 1.6 meV per atom. For the calculated volume, the calculation gives 8.75 A^3/atom.



7.
Density functional theory data (GGA+U) for a relaxed Li7Mn4CoO12 crystal.

Cell lengths 5.073, 5.951, 7.633 Å; angles 81.02, 77.55, 75.23 degrees
Space group P1 (No. 1)
Unique sites:
1 Li 0.000 0.000 0.000
2 Li 0.000 0.173 0.331
3 Li 0.003 0.333 0.677
4 Li 0.009 0.508 0.999
5 Li 0.496 0.672 0.838
6 Li 0.992 0.836 0.676
7 Li 0.995 0.679 0.330
8 Mn 0.496 0.839 0.166
9 Mn 0.501 0.173 0.836
10 Mn 0.502 0.998 0.504
11 Mn 0.503 0.502 0.503
12 Co 0.497 0.349 0.161
13 O 0.262 0.673 0.097
14 O 0.265 0.855 0.415
15 O 0.267 0.194 0.070
16 O 0.275 0.016 0.742
17 O 0.283 0.477 0.745
18 O 0.290 0.314 0.418
19 O 0.718 0.869 0.923
20 O 0.721 0.692 0.571
21 O 0.723 0.001 0.262
22 O 0.729 0.328 0.926
23 O 0.731 0.489 0.259
24 O 0.734 0.151 0.598

Results
For the mass density, the calculation gives 3.99 g/cm3. The calculation puts the uncorrected energy at -149.48 eV/cell. The calculated formation energy is -199 kJ per mole of atoms. The total magnetization comes out at 14.000 μB per formula unit. The calculation puts the energy above the most stable polymorph in this dataset at 19.9 meV per atom. For the calculated volume, the calculation gives 9.01 A^3/atom.



8.
Density functional theory data (GGA+U) for a relaxed Li4MnCo2O7 crystal.

Cell lengths 5.083, 6.637, 7.743 Å; angles 85.67, 76.54, 82.18 degrees
Space group P1 (No. 1)
Unique sites:
1 Li 0.000 0.000 0.000
2 Li 0.066 0.859 0.349
3 Li 0.209 0.573 0.069
4 Li 0.352 0.278 0.792
5 Li 0.495 0.994 0.500
6 Li 0.653 0.725 0.210
7 Li 0.785 0.422 0.928
8 Li 0.933 0.139 0.654
9 Mn 0.429 0.136 0.144
10 Mn 0.713 0.571 0.571
11 Co 0.134 0.720 0.726
12 Co 0.284 0.428 0.429
13 Co 0.560 0.866 0.859
14 Co 0.862 0.276 0.278
15 O 0.026 0.435 0.660
16 O 0.113 0.280 0.057
17 O 0.187 0.149 0.380
18 O 0.267 0.984 0.752
19 O 0.337 0.875 0.109
20 O 0.405 0.693 0.479
21 O 0.476 0.578 0.806
22 O 0.518 0.407 0.188
23 O 0.618 0.307 0.526
24 O 0.657 0.135 0.908
25 O 0.725 0.019 0.247
26 O 0.821 0.834 0.606
27 O 0.893 0.713 0.946
28 O 0.952 0.564 0.337

Results
For the mass density, the calculation gives 4.13 g/cm3. The calculation puts the uncorrected energy at -163.51 eV/cell. The calculated formation energy is -178 kJ per mole of atoms. The total magnetization comes out at 5.000 μB per formula unit. The calculation puts the energy above the most stable polymorph in this dataset at 37.0 meV per atom. For the calculated volume, the calculation gives 8.98 A^3/atom.



9.
Density functional theory data (GGA+U) for a relaxed Li2MnCoO4 crystal.

Cell lengths 3.059, 6.046, 8.087 Å; angles 90.47, 91.32, 96.25 degrees
Space group P1 (No. 1)
Unique sites:
1 Li 0.000 0.000 0.000
2 Li 0.001 0.497 0.505
3 Li 0.500 0.249 0.250
4 Li 0.501 0.746 0.755
5 Mn 0.500 0.745 0.250
6 Mn 0.999 0.001 0.505
7 Co 0.001 0.495 0.001
8 Co 0.500 0.251 0.754
9 O 0.025 0.012 0.746
10 O 0.025 0.502 0.238
11 O 0.477 0.244 0.517
12 O 0.477 0.733 0.010
13 O 0.522 0.262 0.989
14 O 0.528 0.754 0.493
15 O 0.974 0.992 0.261
16 O 0.978 0.484 0.767

Results
For the mass density, the calculation gives 4.28 g/cm3. The calculation puts the uncorrected energy at -98.06 eV/cell. The calculated formation energy is -183 kJ per mole of atoms. The total magnetization comes out at 6.000 μB per formula unit. The calculation puts the energy above the most stable polymorph in this dataset at 34.9 meV per atom. For the calculated volume, the calculation gives 9.29 A^3/atom.



10.
Density functional theory data (GGA+U) for a relaxed Li7Mn2Co3O12 crystal.

Cell lengths 2.961, 5.105, 15.079 Å; angles 96.03, 94.72, 104.82 degrees
Space group P1 (No. 1)
Unique sites:
1 Li 0.000 0.000 0.000
2 Li 0.004 0.257 0.748
3 Li 0.298 0.816 0.825
4 Li 0.326 0.328 0.335
5 Li 0.656 0.651 0.668
6 Li 0.661 0.165 0.167
7 Li 0.995 0.492 0.501
8 Mn 0.655 0.413 0.909
9 Mn 0.990 0.741 0.251
10 Co 0.314 0.570 0.083
11 Co 0.334 0.084 0.589
12 Co 0.667 0.912 0.421
13 O 0.004 0.342 0.620
14 O 0.005 0.632 0.372
15 O 0.033 0.161 0.880
16 O 0.284 0.666 0.953
17 O 0.293 0.464 0.208
18 O 0.311 0.183 0.466
19 O 0.317 0.957 0.692
20 O 0.636 0.805 0.537
21 O 0.651 0.307 0.038
22 O 0.667 0.537 0.800
23 O 0.690 0.020 0.296
24 O 0.991 0.846 0.125

Results
For the mass density, the calculation gives 4.02 g/cm3. The calculation puts the uncorrected energy at -140.51 eV/cell. The calculated formation energy is -179 kJ per mole of atoms. The total magnetization comes out at 10.000 μB per formula unit. The calculation puts the energy above the most stable polymorph in this dataset at 74.4 meV per atom. For the calculated volume, the calculation gives 9.07 A^3/atom.



11.
Density functional theory data (GGA+U) for a relaxed Li7Mn2Co3O12 crystal.

Cell lengths 3.026, 6.007, 12.385 Å; angles 76.54, 88.34, 86.08 degrees
Space group P-1 (No. 2)
Unique sites:
1 Li 0.000 0.000 0.000
2 Li 0.000 0.500 0.000
3 Li 0.002 0.166 0.668
4 Li 0.497 0.677 0.162
5 Li 0.500 0.000 0.500
6 Mn 0.001 0.333 0.331
7 Co 0.493 0.158 0.159
8 Co 0.500 0.500 0.500
9 O 0.004 0.260 0.493
10 O 0.024 0.403 0.171
11 O 0.026 0.063 0.834
12 O 0.472 0.427 0.660
13 O 0.475 0.098 0.320
14 O 0.497 0.755 0.984

Results
For the mass density, the calculation gives 4.01 g/cm3. The calculation puts the uncorrected energy at -139.78 eV/cell. The calculated formation energy is -176 kJ per mole of atoms. The total magnetization comes out at 18.006 μB per formula unit. The calculation puts the energy above the most stable polymorph in this dataset at 104.9 meV per atom. For the calculated volume, the calculation gives 9.10 A^3/atom.



12.
Density functional theory data (GGA+U) for a relaxed Li4MnCo2O7 crystal.

Cell lengths 5.156, 7.690, 7.694 Å; angles 119.06, 103.08, 96.74 degrees
Space group P-1 (No. 2)
Unique sites:
1 Li 0.000 0.000 0.000
2 Li 0.005 0.135 0.425
3 Li 0.005 0.427 0.286
4 Li 0.009 0.726 0.153
5 Li 0.500 0.000 0.500
6 Mn 0.498 0.572 0.215
7 Co 0.494 0.138 0.922
8 Co 0.494 0.275 0.358
9 O 0.265 0.013 0.248
10 O 0.269 0.856 0.828
11 O 0.272 0.159 0.698
12 O 0.273 0.698 0.379
13 O 0.276 0.301 0.114
14 O 0.276 0.437 0.554
15 O 0.280 0.568 0.969

Results
For the mass density, the calculation gives 4.15 g/cm3. The calculation puts the uncorrected energy at -164.01 eV/cell. The calculated formation energy is -180 kJ per mole of atoms. The total magnetization comes out at 3.000 μB per formula unit. The calculation puts the energy above the most stable polymorph in this dataset at 19.0 meV per atom. For the calculated volume, the calculation gives 8.94 A^3/atom.



13.
Density functional theory data (GGA+U) for a relaxed Li6Mn3CoO10 crystal.

Cell lengths 21.634, 2.869, 5.837 Å; angles 90.00, 98.12, 90.00 degrees
Space group Cm (No. 8)
Unique sites:
1 Li 0.000 0.000 0.000
2 Li 0.001 0.000 0.499
3 Li 0.091 0.500 0.289
4 Li 0.198 0.000 0.099
5 Li 0.305 0.500 0.901
6 Li 0.408 0.000 0.708
7 Mn 0.093 0.500 0.800
8 Mn 0.200 0.000 0.595
9 Mn 0.407 0.000 0.200
10 Co 0.304 0.500 0.401
11 O 0.009 0.500 0.757
12 O 0.098 0.000 0.573
13 O 0.101 0.000 0.026
14 O 0.196 0.500 0.826
15 O 0.201 0.500 0.366
16 O 0.304 0.000 0.625
17 O 0.307 0.000 0.177
18 O 0.399 0.500 0.974
19 O 0.402 0.500 0.427
20 O 0.492 0.000 0.243

Results
For the mass density, the calculation gives 3.94 g/cm3. The calculation puts the uncorrected energy at -244.85 eV/cell. The calculated formation energy is -195 kJ per mole of atoms. The total magnetization comes out at 10.000 μB per formula unit. The calculation puts the energy above the most stable polymorph in this dataset at 40.2 meV per atom. For the calculated volume, the calculation gives 8.97 A^3/atom.



14.
Density functional theory data (GGA+U) for a relaxed Li2MnCoO4 crystal.

Cell lengths 5.074, 5.084, 6.052 Å; angles 94.33, 102.41, 99.92 degrees
Space group P1 (No. 1)
Unique sites:
1 Li 0.000 0.000 0.000
2 Li 0.000 0.488 0.249
3 Li 0.003 0.491 0.761
4 Li 0.993 0.011 0.487
5 Mn 0.498 0.244 0.877
6 Mn 0.498 0.746 0.622
7 Co 0.498 0.250 0.370
8 Co 0.500 0.748 0.128
9 O 0.261 0.373 0.055
10 O 0.269 0.384 0.548
11 O 0.273 0.877 0.814
12 O 0.276 0.889 0.307
13 O 0.718 0.611 0.431
14 O 0.725 0.613 0.943
15 O 0.728 0.110 0.691
16 O 0.734 0.124 0.201

Results
For the mass density, the calculation gives 4.27 g/cm3. The calculation puts the uncorrected energy at -97.94 eV/cell. The calculated formation energy is -183 kJ per mole of atoms. The total magnetization comes out at 3.000 μB per formula unit. The calculation puts the energy above the most stable polymorph in this dataset at 42.3 meV per atom. For the calculated volume, the calculation gives 9.32 A^3/atom.